Entry from the Materials Project database: a relaxed structure of MgHg2Sb4O12 (PBE-GGA).

Cell: 5.188 5.188 9.899 Å, 90.00 90.00 90.00°
Fractional coordinates of all 19 atoms:
Mg  0.000  0.000  0.000
Hg  0.000  0.500  0.750
Hg  0.500  0.000  0.250
Sb  0.000  0.500  0.104
Sb  0.000  0.500  0.430
Sb  0.500  0.000  0.570
Sb  0.500  0.000  0.896
O  0.167  0.681  0.261
O  0.211  0.710  0.564
O  0.213  0.722  0.936
O  0.278  0.213  0.064
O  0.290  0.211  0.436
O  0.319  0.167  0.739
O  0.681  0.833  0.739
O  0.710  0.789  0.436
O  0.722  0.787  0.064
O  0.787  0.278  0.936
O  0.789  0.290  0.564
O  0.833  0.319  0.261

Output
Space group: P-4, No. 81
Electronic total energy: -99.0 eV for the cell shown